Entry 1:
Here is an optimized crystal structure of Li5Mn6B6O18 from the Materials Project database. Energies are from PBE with a Hubbard U.

Cell and atoms, written as extended XYZ:
```
70
Lattice="-6.920 4.985 -2.306 4.247 -2.498 -7.386 -5.050 -8.929 1.911" Properties=species:S:1:pos:R:3 pbc="T T T"
Li -3.072 -4.161 -6.455
Li -1.925 1.543 -7.095
Li -2.502 1.008 -1.024
Li -6.260 -2.155 -4.857
Li -4.412 -0.543 -2.930
Li 0.791 -0.937 -2.642
Li -5.032 -5.763 -3.215
Li -3.931 -0.044 -9.002
Li -3.180 -4.112 -1.257
Li -9.209 -3.307 -1.070
O 3.141 -1.869 -7.129
O 1.309 -4.345 -5.755
O -4.678 -7.466 -2.163
O -8.102 -2.696 -2.661
O 0.251 -0.261 -7.805
O -3.478 -1.770 -8.081
O -3.244 -2.911 -5.057
O -4.942 -4.555 -6.950
O -1.154 -1.099 -2.780
O -5.264 2.307 -4.464
O -3.522 2.265 -6.129
O -6.861 -6.863 -0.640
O -5.983 0.597 -2.365
O -6.599 -5.034 -2.205
O -2.375 1.215 -9.002
O -2.747 -5.850 -0.318
O -1.473 -0.184 -6.130
O -0.627 -7.669 -6.135
O -6.132 -1.063 -0.621
O -2.133 -5.810 -5.838
O -5.485 -6.087 -5.158
O -0.403 -4.427 -4.064
O -2.956 -7.337 -3.801
O -3.148 -0.850 -1.437
O -4.698 -3.247 -0.178
O -3.109 -9.270 -2.347
O 0.028 -2.073 -6.285
O -8.326 -4.964 -0.534
O -4.887 -2.395 -3.403
O -6.628 -3.980 -5.325
O -3.538 -4.417 -3.197
O -3.688 0.479 -4.509
O -11.086 -3.650 -1.456
O -5.601 -1.131 -6.424
O -1.732 -2.797 -1.187
O -1.048 -5.976 -2.033
B -8.603 -1.521 -3.194
B -3.570 -8.032 -2.755
B -6.615 0.115 -1.238
B -6.902 4.883 -2.340
B -0.421 -0.832 -6.741
B 0.750 -4.973 -4.633
B -3.872 -3.241 -3.888
B -4.155 1.679 -5.034
B -5.701 -4.868 -5.813
B -2.012 -1.577 -1.817
B -1.064 -6.441 -6.500
B -7.256 -5.628 -1.131
Mn -3.427 -1.119 -5.986
Mn -5.013 2.596 -2.303
Mn -7.058 1.106 -4.241
Mn 2.039 -2.154 -5.428
Mn -1.546 0.464 -4.041
Mn -3.876 -7.257 -5.773
Mn -4.752 -6.850 -0.066
Mn -0.078 -3.813 -7.149
Mn -1.915 -5.680 -3.815
Mn -5.453 -2.771 -7.880
Mn -7.987 -4.545 -3.903
Mn -6.120 -2.954 -1.870
```

Calculated values
SG: P1, No. 1
calculated total energy: -0.542 Ry/atom
ρ: 3.17 g cm⁻³
energy of formation from the pure elements: -238.8 kJ per mole of atoms


Entry 2:
Here is an optimized crystal structure of Li2Mn3B3O9 from the Materials Project database. Energies are from PBE with a Hubbard U.

Cell and atoms, written as extended XYZ:
```
85
Lattice="8.243 0.000 0.000 -4.112 7.180 0.000 -0.188 -0.231 15.847" Properties=species:S:1:pos:R:3 pbc="T T T"
B -0.020 0.116 3.139
B 4.074 2.328 4.690
B -0.025 -0.083 6.332
B 4.099 2.180 11.048
B -4.093 6.978 9.534
B -4.167 6.991 12.691
B -0.186 4.598 14.301
B 0.007 4.745 1.587
B -0.129 4.611 11.070
B -0.095 4.700 4.722
B 4.050 2.430 1.591
B 4.019 2.269 7.967
B 3.851 2.095 14.301
B -0.107 4.752 7.965
B 3.783 6.865 15.812
O 4.263 3.549 10.786
O 2.576 1.536 14.359
O 4.227 3.682 4.636
O -1.410 4.039 10.895
O -2.952 6.605 3.313
O -0.164 1.269 0.200
O 2.581 6.144 15.831
O -1.409 4.251 7.943
O 2.961 6.295 9.453
O -1.464 4.137 14.128
O 2.783 1.909 1.821
O -2.875 6.294 9.476
O 2.941 6.584 2.932
O 4.968 1.276 14.487
O -0.063 1.512 3.175
O 0.997 3.916 7.989
O 0.910 3.724 11.227
O -0.026 6.009 14.348
O -0.167 1.184 12.640
O 0.086 6.068 4.749
O -1.238 4.172 1.544
O 2.762 1.786 4.668
O 0.032 5.977 11.107
O 2.823 1.667 11.162
O 0.219 6.115 1.453
O 5.113 1.464 8.028
O 0.996 3.818 4.716
O 5.126 1.531 1.473
O 4.201 3.684 7.968
O 2.720 1.768 7.924
O 4.024 3.447 14.074
O 0.929 3.794 14.406
O 0.079 6.120 7.932
O 1.152 3.954 1.775
O 0.008 1.172 9.680
O 3.005 6.281 6.472
O -2.850 6.546 6.365
O -3.279 6.188 15.557
O 5.165 1.462 4.747
O 5.230 1.377 11.189
O 2.962 6.203 12.860
O -1.363 4.156 4.726
O -2.906 6.401 12.570
O -0.176 1.277 6.160
O 4.253 3.793 1.474
Mn 5.469 4.607 3.119
Mn 5.242 -0.063 9.541
Mn 5.416 4.210 15.742
Mn 5.236 -0.137 12.717
Mn 1.664 2.698 3.248
Mn 5.138 -0.025 3.178
Mn 1.412 2.425 12.762
Mn 1.503 2.523 9.578
Mn 5.384 4.484 6.262
Mn 1.400 2.523 6.390
Mn 5.017 0.117 0.014
Mn 5.305 0.014 6.378
Mn 1.440 2.461 0.081
Mn 5.531 4.175 9.406
Mn 5.308 4.342 12.570
Li -1.763 7.021 4.760
Li -1.765 6.932 7.952
Li 2.772 5.213 1.562
Li -1.157 2.086 1.607
Li -1.954 6.751 14.259
Li 2.650 4.915 14.299
Li 2.746 5.056 7.977
Li -1.786 6.895 11.050
Li -1.100 1.968 11.098
Li -1.156 2.133 4.720
```

Calculated values
SG: P1, No. 1
calculated total energy: -0.545 Ry/atom
ρ: 3.14 g cm⁻³
energy of formation from the pure elements: -234.6 kJ per mole of atoms


Entry 3:
Here is an optimized crystal structure of LiMn2B2O6 from the Materials Project database. Energies are from PBE with a Hubbard U.

Cell and atoms, written as extended XYZ:
```
44
Lattice="5.389 0.000 0.000 0.024 9.021 0.000 0.441 0.150 10.238" Properties=species:S:1:pos:R:3 pbc="T T T"
Li 3.395 4.686 3.313
Li 1.153 9.096 9.456
Li 3.909 4.571 8.482
Li 4.891 0.260 6.042
O 4.116 1.896 7.000
O 1.318 8.644 6.334
O 2.113 4.104 8.938
O 1.762 7.065 3.214
O 4.546 0.673 4.105
O 4.631 6.447 8.321
O 2.780 7.439 9.465
O 4.322 2.950 3.363
O 1.152 2.506 1.844
O 0.527 2.698 5.710
O 3.924 7.479 1.666
O 1.509 6.301 6.733
O 0.416 6.355 0.697
O 5.177 6.284 4.373
O 5.354 3.084 9.286
O 3.082 1.813 0.630
O 2.451 1.761 4.264
O 4.689 8.805 8.869
O 1.310 0.238 1.040
O 3.919 5.094 1.461
O 4.341 4.285 6.634
O 1.547 4.737 3.741
O 3.432 7.563 5.962
O 1.852 1.746 8.577
B 2.073 7.516 6.346
B 1.836 1.458 1.200
B 4.043 7.617 8.888
B 1.327 3.007 8.924
B 1.051 5.979 3.779
B 4.786 3.041 6.438
B 3.774 1.765 3.879
B 4.552 6.279 1.288
Mn 1.323 5.992 8.887
Mn 2.099 1.501 6.380
Mn 3.778 7.832 3.770
Mn 4.605 3.173 1.189
Mn 4.924 6.237 6.331
Mn 2.015 7.322 1.270
Mn 3.874 1.682 8.973
Mn 0.877 2.769 3.767
```

Calculated values
SG: P1, No. 1
calculated total energy: -0.551 Ry/atom
ρ: 3.13 g cm⁻³
energy of formation from the pure elements: -233.7 kJ per mole of atoms


Entry 4:
Here is an optimized crystal structure of LiMn2B2O6 from the Materials Project database. Energies are from PBE with a Hubbard U.

Cell and atoms, written as extended XYZ:
```
44
Lattice="5.325 0.000 0.000 0.124 9.097 0.000 0.376 0.246 10.320" Properties=species:S:1:pos:R:3 pbc="T T T"
Li 2.045 4.519 1.668
Li 4.720 0.169 6.816
Li 2.232 4.836 6.940
Li 1.068 8.996 3.552
O 5.383 6.575 9.652
O 4.566 8.764 4.108
O 1.415 8.779 1.601
O 5.246 2.851 4.636
O 1.596 1.746 3.346
O 2.730 1.997 9.818
O 1.937 7.607 8.615
O 1.481 2.998 6.978
O 0.562 3.055 0.988
O 3.170 7.454 0.647
O 1.223 0.668 6.422
O 1.658 4.142 3.558
O 4.097 4.977 6.527
O 3.872 2.074 1.876
O 3.922 4.402 1.283
O 4.382 6.562 3.191
O 4.525 2.815 8.480
O 0.799 6.210 6.105
O 4.198 0.446 8.666
O 2.462 7.607 4.254
O 4.205 7.327 7.057
O 1.291 6.367 1.620
O 1.850 5.217 8.831
O 3.339 1.753 6.102
Mn 1.042 6.028 3.973
Mn 4.676 6.307 1.288
Mn 1.177 3.317 9.191
Mn 1.978 1.571 1.388
Mn 3.720 1.590 3.949
Mn 3.827 7.595 9.007
Mn 4.832 3.047 6.550
Mn 2.128 7.857 6.404
B 4.541 3.205 1.386
B 4.808 6.121 6.564
B 3.792 7.676 3.838
B 3.835 1.688 9.004
B 1.068 2.975 3.854
B 1.923 7.575 1.282
B 2.000 1.774 6.516
B 1.316 6.429 9.032
```

Calculated values
SG: P1, No. 1
calculated total energy: -0.551 Ry/atom
ρ: 3.11 g cm⁻³
energy of formation from the pure elements: -234.1 kJ per mole of atoms